No. 1
DFT (PBE-GGA) results for a relaxed Al4CdO7 crystal.

Computed properties:
Space group = C2/c (15)
Crystal system = monoclinic
E_form = -3097 meV/atom

Cell lengths 7.8224, 7.8224, 5.4663 Å; angles 103.11, 103.11, 70.03 degrees
Sites, in units of the cell vectors:
Al  0.0600  0.1828  0.2318
Al  0.1828  0.0600  0.7318
Al  0.2582  0.4247  0.6852
Al  0.4247  0.2582  0.1852
Al  0.5753  0.7418  0.8148
Al  0.7418  0.5753  0.3148
Al  0.8172  0.9400  0.2682
Al  0.9400  0.8172  0.7682
Cd  0.2945  0.7055  0.2500
Cd  0.7055  0.2945  0.7500
O  0.0289  0.9711  0.2500
O  0.1339  0.6339  0.8520
O  0.1442  0.2478  0.5669
O  0.2478  0.1442  0.0669
O  0.3218  0.4491  0.4078
O  0.3661  0.8661  0.6480
O  0.4491  0.3218  0.9078
O  0.5509  0.6782  0.0922
O  0.6339  0.1339  0.3520
O  0.6782  0.5509  0.5922
O  0.7522  0.8558  0.9331
O  0.8558  0.7522  0.4331
O  0.8661  0.3661  0.1480
O  0.9711  0.0289  0.7500



No. 2
DFT (PBE-GGA) results for a relaxed Y2Co5Ni5 crystal.

Computed properties:
Magnetization = 9.3 μB/cell
Space group = Pmmm (47)
Crystal system = orthorhombic
E_form = -171 meV/atom

Cell lengths 3.9731, 4.9211, 8.4449 Å; angles 90.00, 90.00, 90.00 degrees
Sites, in units of the cell vectors:
Y  0.0000  0.0000  0.0000
Y  0.0000  0.5000  0.5000
Co  0.0000  0.0000  0.3334
Co  0.0000  0.0000  0.6666
Co  0.0000  0.5000  0.1603
Co  0.0000  0.5000  0.8397
Co  0.5000  0.5000  0.0000
Ni  0.5000  0.0000  0.5000
Ni  0.5000  0.2503  0.2498
Ni  0.5000  0.2503  0.7502
Ni  0.5000  0.7497  0.2498
Ni  0.5000  0.7497  0.7502



No. 3
DFT (PBE-GGA) results for a relaxed KTi3NbO9 crystal.

Computed properties:
Magnetization = 0.0 μB/cell
Space group = Pmn2_1 (31)
Crystal system = orthorhombic
E_form = -3272 meV/atom

Cell lengths 3.8190, 6.4605, 15.0747 Å; angles 90.00, 90.00, 90.00 degrees
Sites, in units of the cell vectors:
K  0.0000  0.2231  0.0000
K  0.5000  0.7769  0.5000
Ti  0.0000  0.2365  0.3730
Ti  0.0000  0.6870  0.2987
Ti  0.0000  0.6899  0.7131
Ti  0.5000  0.3101  0.2131
Ti  0.5000  0.3130  0.7987
Ti  0.5000  0.7635  0.8730
Nb  0.0000  0.2380  0.6198
Nb  0.5000  0.7620  0.1198
O  0.0000  0.1646  0.4986
O  0.0000  0.3473  0.2416
O  0.0000  0.3486  0.7625
O  0.0000  0.5305  0.3996
O  0.0000  0.5375  0.6042
O  0.0000  0.7599  0.8455
O  0.0000  0.7633  0.1548
O  0.0000  0.9362  0.6601
O  0.0000  0.9390  0.3452
O  0.5000  0.0610  0.8452
O  0.5000  0.0638  0.1601
O  0.5000  0.2367  0.6548
O  0.5000  0.2401  0.3455
O  0.5000  0.4625  0.1042
O  0.5000  0.4695  0.8996
O  0.5000  0.6514  0.2625
O  0.5000  0.6527  0.7416
O  0.5000  0.8354  0.9986



No. 4
DFT (PBE-GGA) results for a relaxed La4B4Br5 crystal.

Computed properties:
Space group = C2/m (12)
Crystal system = monoclinic
E_form = -1554 meV/atom

Cell lengths 9.4747, 9.4747, 19.6452 Å; angles 115.64, 115.64, 26.38 degrees
Sites, in units of the cell vectors:
La  0.0056  0.0056  0.1287
La  0.0694  0.0694  0.4100
La  0.3147  0.3147  0.6983
La  0.3904  0.3904  0.2271
La  0.6096  0.6096  0.7729
La  0.6853  0.6853  0.3017
La  0.9306  0.9306  0.5900
La  0.9944  0.9944  0.8713
B  0.1457  0.7756  0.7303
B  0.2244  0.8543  0.2697
B  0.4486  0.4486  0.6767
B  0.4727  0.4727  0.7845
B  0.5273  0.5273  0.2155
B  0.5514  0.5514  0.3233
B  0.7756  0.1457  0.7303
B  0.8543  0.2244  0.2697
Br  0.1257  0.1257  0.6687
Br  0.1725  0.1725  0.8994
Br  0.1938  0.1938  0.1888
Br  0.2566  0.2566  0.4270
Br  0.5000  0.5000  0.0000
Br  0.5000  0.5000  0.5000
Br  0.7434  0.7434  0.5730
Br  0.8062  0.8062  0.8112
Br  0.8275  0.8275  0.1006
Br  0.8743  0.8743  0.3313



No. 5
DFT (PBE-GGA) results for a relaxed Er2Si3Pt3 crystal.

Computed properties:
Magnetization = 0.0 μB/cell
Space group = P4/mmm (123)
Crystal system = tetragonal
E_form = 359 meV/atom

Cell lengths 2.8713, 2.8713, 20.1780 Å; angles 90.00, 90.00, 90.00 degrees
Sites, in units of the cell vectors:
Er  0.0000  0.0000  0.2463
Er  0.0000  0.0000  0.7537
Si  0.0000  0.0000  0.0000
Si  0.0000  0.0000  0.3840
Si  0.0000  0.0000  0.6160
Pt  0.0000  0.0000  0.1132
Pt  0.0000  0.0000  0.5000
Pt  0.0000  0.0000  0.8868



No. 6
DFT (PBE-GGA) results for a relaxed K3Tl crystal.

Computed properties:
Magnetization = 0.3 μB/cell
Space group = Fm-3m (225)
Crystal system = cubic
E_form = 12 meV/atom

Cell lengths 9.3501, 9.3501, 9.3501 Å; angles 90.00, 90.00, 90.00 degrees
Sites, in units of the cell vectors:
K  0.0000  0.0000  0.0000
K  0.0000  0.5000  0.5000
K  0.2500  0.2500  0.2500
K  0.2500  0.2500  0.7500
K  0.2500  0.7500  0.2500
K  0.2500  0.7500  0.7500
K  0.5000  0.0000  0.5000
K  0.5000  0.5000  0.0000
K  0.7500  0.2500  0.2500
K  0.7500  0.2500  0.7500
K  0.7500  0.7500  0.2500
K  0.7500  0.7500  0.7500
Tl  0.0000  0.0000  0.5000
Tl  0.0000  0.5000  0.0000
Tl  0.5000  0.0000  0.0000
Tl  0.5000  0.5000  0.5000



No. 7
DFT (PBE-GGA) results for a relaxed CdPd3 crystal.

Computed properties:
Magnetization = 0.0 μB/cell
Space group = R-3m (166)
Crystal system = trigonal
E_form = -140 meV/atom

Cell lengths 2.9148, 2.9148, 27.0418 Å; angles 90.00, 90.00, 120.00 degrees
Sites, in units of the cell vectors:
Cd  0.0000  0.0000  0.0000
Cd  0.3333  0.6667  0.6667
Cd  0.6667  0.3333  0.3333
Pd  0.0000  0.0000  0.2494
Pd  0.0000  0.0000  0.5000
Pd  0.0000  0.0000  0.7506
Pd  0.3333  0.6667  0.1667
Pd  0.3333  0.6667  0.4173
Pd  0.3333  0.6667  0.9160
Pd  0.6667  0.3333  0.0840
Pd  0.6667  0.3333  0.5827
Pd  0.6667  0.3333  0.8333



No. 8
DFT (PBE-GGA) results for a relaxed HfCoN2 crystal.

Computed properties:
Magnetization = 1.2 μB/cell
Space group = P6_3/mmc (194)
Crystal system = hexagonal
E_form = -732 meV/atom

Cell lengths 3.1062, 3.1062, 9.5483 Å; angles 90.00, 90.00, 120.00 degrees
Sites, in units of the cell vectors:
Hf  0.3333  0.6667  0.2500
Hf  0.6667  0.3333  0.7500
Co  0.0000  0.0000  0.0000
Co  0.0000  0.0000  0.5000
N  0.3333  0.6667  0.6125
N  0.3333  0.6667  0.8875
N  0.6667  0.3333  0.1125
N  0.6667  0.3333  0.3875



No. 9
DFT (PBE-GGA) results for a relaxed MgPbO3 crystal.

Computed properties:
Magnetization = 2.0 μB/cell
Space group = Pm-3m (221)
Crystal system = cubic
E_form = -1500 meV/atom

Cell lengths 3.9805, 3.9805, 3.9805 Å; angles 90.00, 90.00, 90.00 degrees
Sites, in units of the cell vectors:
Mg  0.0000  0.0000  0.0000
Pb  0.5000  0.5000  0.5000
O  0.0000  0.0000  0.5000
O  0.0000  0.5000  0.0000
O  0.5000  0.0000  0.0000



No. 10
DFT (PBE-GGA) results for a relaxed Sr2Ti6N2O11 crystal.

Computed properties:
Magnetization = 0.0 μB/cell
Space group = Cm (8)
Crystal system = monoclinic
E_form = -3153 meV/atom
Energy above the most stable polymorph in this dataset = 0 meV/atom

Cell lengths 7.7373, 7.7373, 9.2740 Å; angles 98.43, 98.43, 29.04 degrees
Sites, in units of the cell vectors:
Sr  0.0000  0.0000  0.0000
Sr  0.0963  0.0963  0.5384
Ti  0.3115  0.3115  0.0083
Ti  0.3751  0.3751  0.3359
Ti  0.4279  0.4279  0.6765
Ti  0.6673  0.6673  0.8639
Ti  0.7105  0.7105  0.2221
Ti  0.7930  0.7930  0.5434
N  0.8391  0.8391  0.3489
N  0.9067  0.9067  0.6656
O  0.1858  0.1858  0.8887
O  0.2433  0.2433  0.1998
O  0.2990  0.2990  0.5349
O  0.3850  0.3850  0.8725
O  0.4190  0.4190  0.1579
O  0.4766  0.4766  0.4827
O  0.5459  0.5459  0.7791
O  0.6140  0.6140  0.0629
O  0.6601  0.6601  0.3856
O  0.7020  0.7020  0.6789
O  0.7885  0.7885  0.0114



No. 11
DFT (PBE-GGA) results for a relaxed Ba5In4Bi5 crystal.

Computed properties:
Magnetization = 0.0 μB/cell
Space group = P4nc (104)
Crystal system = tetragonal
E_form = -646 meV/atom

Cell lengths 10.7886, 10.7886, 9.1554 Å; angles 90.00, 90.00, 90.00 degrees
Sites, in units of the cell vectors:
Ba  0.0000  0.0000  0.0000
Ba  0.1053  0.3100  0.6757
Ba  0.1900  0.3947  0.1757
Ba  0.3100  0.8947  0.6757
Ba  0.3947  0.8100  0.1757
Ba  0.5000  0.5000  0.5000
Ba  0.6053  0.1900  0.1757
Ba  0.6900  0.1053  0.6757
Ba  0.8100  0.6053  0.1757
Ba  0.8947  0.6900  0.6757
In  0.0721  0.8156  0.3326
In  0.1844  0.0721  0.3326
In  0.3156  0.5721  0.8326
In  0.4279  0.3156  0.8326
In  0.5721  0.6844  0.8326
In  0.6844  0.4279  0.8326
In  0.8156  0.9279  0.3326
In  0.9279  0.1844  0.3326
Bi  0.0000  0.0000  0.6137
Bi  0.1097  0.6904  0.9941
Bi  0.1904  0.6097  0.4941
Bi  0.3096  0.1097  0.9941
Bi  0.3903  0.1904  0.4941
Bi  0.5000  0.5000  0.1137
Bi  0.6097  0.8096  0.4941
Bi  0.6904  0.8903  0.9941
Bi  0.8096  0.3903  0.4941
Bi  0.8903  0.3096  0.9941



No. 12
DFT (PBE-GGA) results for a relaxed SmGaPd crystal.

Computed properties:
Space group = Pnma (62)
Crystal system = orthorhombic
E_form = -863 meV/atom

Cell lengths 7.1056, 4.5070, 7.7787 Å; angles 90.00, 90.00, 90.00 degrees
Sites, in units of the cell vectors:
Sm  0.0176  0.2500  0.2025
Sm  0.4824  0.7500  0.7025
Sm  0.5176  0.2500  0.2975
Sm  0.9824  0.7500  0.7975
Ga  0.1828  0.2500  0.5796
Ga  0.3172  0.7500  0.0796
Ga  0.6828  0.2500  0.9204
Ga  0.8172  0.7500  0.4204
Pd  0.2127  0.7500  0.4094
Pd  0.2873  0.2500  0.9094
Pd  0.7127  0.7500  0.0906
Pd  0.7873  0.2500  0.5906